LuSeO3F | PBE | optimized geometry

Values from the calculation:
Distance to the lowest polymorph of the same formula ... 39 meV per atom

Cell and atoms, written as POSCAR:
```
LuSeO3F
1.0
6.5453 0.0000 0.0000
0.0000 6.8983 0.0000
-0.9973 0.0000 7.0328
Lu Se O F
4 4 12 4
Direct
0.1370 0.1417 0.3256 Lu
0.1370 0.3583 0.8256 Lu
0.8630 0.6417 0.1744 Lu
0.8630 0.8583 0.6744 Lu
0.3522 0.6205 0.2900 Se
0.3522 0.8795 0.7900 Se
0.6478 0.1205 0.2100 Se
0.6478 0.3795 0.7100 Se
0.1716 0.0295 0.6464 O
0.1716 0.4705 0.1464 O
0.1735 0.6906 0.7785 O
0.1735 0.8094 0.2785 O
0.4791 0.1868 0.3623 O
0.4791 0.3132 0.8623 O
0.5209 0.6868 0.1377 O
0.5209 0.8132 0.6377 O
0.8265 0.1906 0.7215 O
0.8265 0.3094 0.2215 O
0.8284 0.5295 0.8536 O
0.8284 0.9705 0.3536 O
0.1640 0.1214 0.0273 F
0.1640 0.3786 0.5273 F
0.8360 0.6214 0.4727 F
0.8360 0.8786 0.9727 F
```

***

K4PSe3O16 | PBE | optimized geometry

Cell and atoms, written as POSCAR:
```
K4PSe3O16
1.0
7.6298 0.0000 0.0000
0.4075 7.8456 0.0000
0.5927 2.3754 7.4954
K P Se O
4 1 3 16
Direct
0.0000 0.0000 0.0000 K
0.0643 0.4217 0.4929 K
0.3751 0.8906 0.5548 K
0.6862 0.5315 0.9427 K
0.5625 0.4086 0.4722 P
0.1645 0.4820 0.9658 Se
0.4960 0.0150 0.0202 Se
0.8957 0.9397 0.5293 Se
0.0189 0.0552 0.6169 O
0.0227 0.7818 0.4689 O
0.0386 0.6401 0.0249 O
0.0408 0.3687 0.8757 O
0.2223 0.3572 0.1737 O
0.3396 0.5635 0.8348 O
0.3666 0.0201 0.8566 O
0.3671 0.0493 0.1904 O
0.4174 0.2712 0.5336 O
0.4632 0.5922 0.4123 O
0.6008 0.8145 0.0979 O
0.6532 0.1659 0.9485 O
0.6843 0.3758 0.3192 O
0.6875 0.4092 0.6176 O
0.7209 0.8577 0.6589 O
0.8432 0.0561 0.3178 O
```

***

Bi6PtCl10 | PBE | optimized geometry

Cell and atoms, written as POSCAR:
```
Bi6PtCl10
1.0
17.0323 0.0000 0.0000
0.0000 26.9380 0.0000
0.0000 0.0000 9.9578
Bi Pt Cl
48 8 80
Direct
0.0551 0.0670 0.1838 Bi
0.0551 0.4330 0.1838 Bi
0.0722 0.5733 0.1475 Bi
0.0722 0.9267 0.1475 Bi
0.0791 0.2500 0.2051 Bi
0.1324 0.0085 0.8431 Bi
0.1324 0.4915 0.8431 Bi
0.1432 0.1797 0.8671 Bi
0.1432 0.3203 0.8671 Bi
0.1611 0.7500 0.3764 Bi
0.2242 0.6795 0.6937 Bi
0.2242 0.8205 0.6937 Bi
0.2758 0.1795 0.1937 Bi
0.2758 0.3205 0.1937 Bi
0.3389 0.2500 0.8764 Bi
0.3568 0.6797 0.3671 Bi
0.3568 0.8203 0.3671 Bi
0.3676 0.5085 0.3431 Bi
0.3676 0.9915 0.3431 Bi
0.4209 0.7500 0.7051 Bi
0.4278 0.0733 0.6475 Bi
0.4278 0.4267 0.6475 Bi
0.4449 0.5670 0.6838 Bi
0.4449 0.9330 0.6838 Bi
0.5551 0.0670 0.3162 Bi
0.5551 0.4330 0.3162 Bi
0.5722 0.5733 0.3525 Bi
0.5722 0.9267 0.3525 Bi
0.5791 0.2500 0.2949 Bi
0.6324 0.0085 0.6569 Bi
0.6324 0.4915 0.6569 Bi
0.6432 0.1797 0.6329 Bi
0.6432 0.3203 0.6329 Bi
0.6611 0.7500 0.1236 Bi
0.7242 0.6795 0.8063 Bi
0.7242 0.8205 0.8063 Bi
0.7758 0.1795 0.3063 Bi
0.7758 0.3205 0.3063 Bi
0.8389 0.2500 0.6236 Bi
0.8568 0.6797 0.1329 Bi
0.8568 0.8203 0.1329 Bi
0.8676 0.5085 0.1569 Bi
0.8676 0.9915 0.1569 Bi
0.9209 0.7500 0.7949 Bi
0.9278 0.0733 0.8525 Bi
0.9278 0.4267 0.8525 Bi
0.9449 0.5670 0.8162 Bi
0.9449 0.9330 0.8162 Bi
0.0000 0.0000 0.0000 Pt
0.0000 0.5000 0.0000 Pt
0.2055 0.2500 0.0358 Pt
0.2945 0.7500 0.5358 Pt
0.5000 0.0000 0.5000 Pt
0.5000 0.5000 0.5000 Pt
0.7055 0.2500 0.4642 Pt
0.7945 0.7500 0.9642 Pt
0.0023 0.1549 0.0360 Cl
0.0023 0.3451 0.0360 Cl
0.0580 0.0799 0.6843 Cl
0.0580 0.4201 0.6843 Cl
0.0628 0.2500 0.7207 Cl
0.0815 0.5600 0.6680 Cl
0.0815 0.9400 0.6680 Cl
0.0925 0.6791 0.5382 Cl
0.0925 0.8209 0.5382 Cl
0.1369 0.5066 0.3182 Cl
0.1369 0.9934 0.3182 Cl
0.1376 0.1797 0.3607 Cl
0.1376 0.3203 0.3607 Cl
0.1592 0.7500 0.8568 Cl
0.1981 0.0941 0.0313 Cl
0.1981 0.4059 0.0313 Cl
0.2047 0.5665 0.9861 Cl
0.2047 0.9335 0.9861 Cl
0.2276 0.6757 0.2113 Cl
0.2276 0.8243 0.2113 Cl
0.2724 0.1757 0.7113 Cl
0.2724 0.3243 0.7113 Cl
0.2953 0.0665 0.4861 Cl
0.2953 0.4335 0.4861 Cl
0.3019 0.5941 0.5313 Cl
0.3019 0.9059 0.5313 Cl
0.3408 0.2500 0.3568 Cl
0.3624 0.6797 0.8607 Cl
0.3624 0.8203 0.8607 Cl
0.3631 0.0066 0.8182 Cl
0.3631 0.4934 0.8182 Cl
0.4075 0.1791 0.0382 Cl
0.4075 0.3209 0.0382 Cl
0.4185 0.0600 0.1680 Cl
0.4185 0.4400 0.1680 Cl
0.4372 0.7500 0.2207 Cl
0.4420 0.5799 0.1843 Cl
0.4420 0.9201 0.1843 Cl
0.4977 0.6549 0.5360 Cl
0.4977 0.8451 0.5360 Cl
0.5023 0.1549 0.4640 Cl
0.5023 0.3451 0.4640 Cl
0.5580 0.0799 0.8157 Cl
0.5580 0.4201 0.8157 Cl
0.5628 0.2500 0.7793 Cl
0.5815 0.5600 0.8320 Cl
0.5815 0.9400 0.8320 Cl
0.5925 0.6791 0.9618 Cl
0.5925 0.8209 0.9618 Cl
0.6369 0.5066 0.1818 Cl
0.6369 0.9934 0.1818 Cl
0.6376 0.1797 0.1393 Cl
0.6376 0.3203 0.1393 Cl
0.6592 0.7500 0.6432 Cl
0.6981 0.0941 0.4687 Cl
0.6981 0.4059 0.4687 Cl
0.7047 0.5665 0.5139 Cl
0.7047 0.9335 0.5139 Cl
0.7276 0.6757 0.2887 Cl
0.7276 0.8243 0.2887 Cl
0.7724 0.1757 0.7887 Cl
0.7724 0.3243 0.7887 Cl
0.7953 0.0665 0.0139 Cl
0.7953 0.4335 0.0139 Cl
0.8019 0.5941 0.9687 Cl
0.8019 0.9059 0.9687 Cl
0.8408 0.2500 0.1432 Cl
0.8624 0.6797 0.6393 Cl
0.8624 0.8203 0.6393 Cl
0.8631 0.0066 0.6818 Cl
0.8631 0.4934 0.6818 Cl
0.9075 0.1791 0.4618 Cl
0.9075 0.3209 0.4618 Cl
0.9185 0.0600 0.3320 Cl
0.9185 0.4400 0.3320 Cl
0.9372 0.7500 0.2793 Cl
0.9420 0.5799 0.3157 Cl
0.9420 0.9201 0.3157 Cl
0.9977 0.6549 0.9640 Cl
0.9977 0.8451 0.9640 Cl
```

***

LiInRh | PBE | optimized geometry

Cell and atoms, written as POSCAR:
```
LiInRh
1.0
4.3417 0.0000 0.0000
-2.1709 3.7600 0.0000
0.0000 0.0000 5.7033
Li In Rh
2 2 2
Direct
0.3333 0.6667 0.2500 Li
0.6667 0.3333 0.7500 Li
0.3333 0.6667 0.7500 In
0.6667 0.3333 0.2500 In
0.0000 0.0000 0.0000 Rh
0.0000 0.0000 0.5000 Rh
```

***

Gd2GeBr2 | PBE | optimized geometry

Cell and atoms, written as POSCAR:
```
Gd2GeBr2
1.0
4.2062 0.0000 0.0000
-2.1031 3.6426 0.0000
0.0000 0.0000 10.1200
Gd Ge Br
2 1 2
Direct
0.3333 0.6667 0.1609 Gd
0.6667 0.3333 0.8391 Gd
0.0000 0.0000 0.0000 Ge
0.3333 0.6667 0.6658 Br
0.6667 0.3333 0.3342 Br
```

***

MgSi2 | PBE | optimized geometry

Values from the calculation:
Distance to the lowest polymorph of the same formula ... 128 meV per atom

Cell and atoms, written as POSCAR:
```
MgSi2
1.0
4.3469 0.0000 0.0000
-0.6284 5.6179 0.0000
-1.4001 -2.0649 9.8165
Mg Si
4 8
Direct
0.0000 0.0000 0.0000 Mg
0.0178 0.7557 0.3628 Mg
0.4109 0.0823 0.7418 Mg
0.4533 0.4834 0.5343 Mg
0.0479 0.2742 0.2714 Si
0.4127 0.7074 0.8671 Si
0.4785 0.6949 0.1048 Si
0.5276 0.0643 0.2754 Si
0.5982 0.9402 0.4915 Si
0.8740 0.4945 0.8469 Si
0.9462 0.2800 0.6298 Si
0.9522 0.4919 0.0891 Si
```

***

Electronic total energy for the records above, in order: -6.5318; -5.1710; -3.6120; -4.3718; -8.6832; -3.9917 eV per atom
Energy relative to the elements for the records above, in order: -2.8231; -1.4827; -1.1558; -0.3635; -1.6869; 0.2059 eV/atom